# NaZr3ZnP3S3O24 (PBE, optimized geometry)
data_NaZr3ZnP3S3O24
_chemical_formula_sum 'Na3 Zr9 Zn3 P9 S9 O72'
_cell_length_a 8.913
_cell_length_b 8.922
_cell_length_c 23.196
_cell_angle_alpha 90.02
_cell_angle_beta 90.05
_cell_angle_gamma 119.89
_space_group_name_H-M_alt 'P 1'
_space_group_IT_number 1
loop_
_space_group_symop_operation_xyz
'x,y,z'
loop_
_atom_site_label
_atom_site_fract_x
_atom_site_fract_y
_atom_site_fract_z
Na1 0.000 0.000 0.000
Na2 0.002 0.014 0.502
Na3 0.341 0.681 0.843
Zr1 0.005 0.002 0.653
Zr2 0.012 0.008 0.152
Zr3 0.330 0.667 0.484
Zr4 0.343 0.680 0.692
Zr5 0.344 0.674 0.193
Zr6 0.663 0.340 0.029
Zr7 0.665 0.342 0.815
Zr8 0.671 0.343 0.318
Zr9 0.675 0.339 0.531
Zn1 0.011 0.030 0.358
Zn2 0.347 0.688 0.991
Zn3 0.999 0.995 0.853
P1 0.051 0.677 0.589
P2 0.288 0.003 0.759
P3 0.289 0.295 0.258
P4 0.334 0.383 0.589
P5 0.334 0.957 0.087
P6 0.627 0.680 0.087
P7 0.627 0.960 0.588
P8 0.714 0.723 0.759
P9 0.956 0.332 0.422
S1 0.005 0.722 0.258
S2 0.006 0.297 0.758
S3 0.050 0.386 0.087
S4 0.373 0.341 0.922
S5 0.376 0.052 0.423
S6 0.672 0.049 0.922
S7 0.677 0.636 0.422
S8 0.717 0.007 0.257
S9 0.964 0.633 0.923
O1 0.024 0.207 0.097
O2 0.029 0.838 0.595
O3 0.033 0.826 0.309
O4 0.036 0.222 0.810
O5 0.127 0.490 0.140
O6 0.133 0.650 0.643
O7 0.134 0.498 0.430
O8 0.135 0.644 0.928
O9 0.155 0.458 0.036
O10 0.156 0.698 0.246
O11 0.158 0.474 0.750
O12 0.164 0.705 0.535
O13 0.172 0.203 0.596
O14 0.176 0.986 0.097
O15 0.179 0.218 0.311
O16 0.181 0.974 0.813
O17 0.202 0.029 0.417
O18 0.203 0.183 0.918
O19 0.205 0.181 0.203
O20 0.207 0.033 0.704
O21 0.295 0.847 0.033
O22 0.306 0.470 0.535
O23 0.312 0.476 0.244
O24 0.312 0.844 0.749
O25 0.358 0.873 0.142
O26 0.361 0.494 0.642
O27 0.361 0.499 0.928
O28 0.367 0.882 0.429
O29 0.461 0.161 0.474
O30 0.464 0.320 0.974
O31 0.471 0.164 0.766
O32 0.472 0.317 0.267
O33 0.484 0.362 0.871
O34 0.485 0.136 0.371
O35 0.494 0.365 0.578
O36 0.496 0.139 0.079
O37 0.513 0.878 0.926
O38 0.515 0.649 0.142
O39 0.517 0.878 0.642
O40 0.518 0.649 0.429
O41 0.528 0.693 0.749
O42 0.540 0.846 0.534
O43 0.540 0.856 0.247
O44 0.549 0.710 0.033
O45 0.642 0.138 0.580
O46 0.648 0.518 0.079
O47 0.648 0.525 0.370
O48 0.653 0.139 0.871
O49 0.689 0.157 0.974
O50 0.696 0.162 0.264
O51 0.697 0.542 0.766
O52 0.697 0.548 0.474
O53 0.787 0.833 0.812
O54 0.789 0.973 0.308
O55 0.809 0.838 0.098
O56 0.810 0.984 0.596
O57 0.823 0.035 0.205
O58 0.824 0.807 0.704
O59 0.830 0.806 0.416
O60 0.831 0.037 0.918
O61 0.842 0.314 0.475
O62 0.849 0.546 0.264
O63 0.850 0.316 0.765
O64 0.854 0.542 0.975
O65 0.867 0.359 0.368
O66 0.870 0.518 0.580
O67 0.874 0.365 0.081
O68 0.874 0.525 0.871
O69 0.974 0.171 0.418
O70 0.974 0.799 0.205
O71 0.976 0.804 0.920
O72 0.979 0.193 0.705
# Total moment: 0.0 μB per formula unit
# Energy relative to the elements: -2.70 eV/atom
# Total DFT energy (no corrections): -7.243 eV per atom
# Crystal system: triclinic